First-principles (PBE+U) data for crystalline Fe10O9F11 at its relaxed geometry, as listed in the Materials Project database.

Properties
For the energy relative to the lowest polymorph listed for this composition, the calculation gives 30 meV/atom. For the calculated volume, the calculation gives 351.11 Å³ per cell. The calculation puts the magnetization at 1.6333 μB per atom.

```
data_Fe10O9F11
_chemical_formula_sum 'Fe10 O9 F11'
_symmetry_space_group_name_H-M 'P 1'
_symmetry_Int_Tables_number 1
_symmetry_space_group_name_Hall 'P 1'
_cell_length_a 4.775
_cell_length_b 15.417
_cell_length_c 4.786
_cell_angle_alpha 90.00
_cell_angle_beta 94.67
_cell_angle_gamma 90.00
loop_
_atom_site_label
_atom_site_type_symbol
_atom_site_fract_x
_atom_site_fract_y
_atom_site_fract_z
_atom_site_occupancy
Fe1 Fe 0.000 0.000 0.000 1
Fe2 Fe 0.003 0.202 0.004 1
Fe3 Fe 0.003 0.798 0.004 1
Fe4 Fe 0.500 0.098 0.500 1
Fe5 Fe 0.500 0.902 0.500 1
Fe6 Fe 0.506 0.292 0.513 1
Fe7 Fe 0.506 0.708 0.513 1
Fe8 Fe 0.547 0.500 0.492 1
Fe9 Fe 0.969 0.410 0.987 1
Fe10 Fe 0.969 0.590 0.987 1
O1 O 0.299 0.198 0.303 1
O2 O 0.299 0.802 0.303 1
O3 O 0.300 0.000 0.299 1
O4 O 0.684 0.395 0.680 1
O5 O 0.684 0.605 0.680 1
O6 O 0.702 0.000 0.701 1
O7 O 0.702 0.196 0.705 1
O8 O 0.702 0.804 0.705 1
O9 O 0.797 0.500 0.200 1
F1 F 0.192 0.299 0.807 1
F2 F 0.192 0.701 0.807 1
F3 F 0.193 0.100 0.810 1
F4 F 0.193 0.900 0.810 1
F5 F 0.211 0.500 0.788 1
F6 F 0.294 0.397 0.290 1
F7 F 0.294 0.603 0.290 1
F8 F 0.800 0.298 0.196 1
F9 F 0.800 0.702 0.196 1
F10 F 0.809 0.100 0.193 1
F11 F 0.809 0.900 0.193 1
```


First-principles (PBE+U) data for crystalline LiMoP5O15 at its relaxed geometry, as listed in the Materials Project database.

Properties
For the calculated volume, the calculation gives 1292.00 Å³ per cell. The calculation puts the magnetization at 0.0909 μB per atom.

```
data_LiMoP5O15
_chemical_formula_sum 'Li4 Mo4 P20 O60'
_symmetry_space_group_name_H-M 'P 1'
_symmetry_Int_Tables_number 1
_symmetry_space_group_name_Hall 'P 1'
_cell_length_a 9.466
_cell_length_b 13.827
_cell_length_c 10.637
_cell_angle_alpha 90.00
_cell_angle_beta 111.87
_cell_angle_gamma 90.00
loop_
_atom_site_label
_atom_site_type_symbol
_atom_site_fract_x
_atom_site_fract_y
_atom_site_fract_z
_atom_site_occupancy
Li1 Li 0.073 0.133 0.265 1
Li2 Li 0.073 0.367 0.765 1
Li3 Li 0.927 0.633 0.235 1
Li4 Li 0.927 0.867 0.735 1
Mo1 Mo 0.498 0.001 0.248 1
Mo2 Mo 0.498 0.499 0.748 1
Mo3 Mo 0.502 0.501 0.252 1
Mo4 Mo 0.502 0.999 0.752 1
P1 P 0.015 0.249 0.486 1
P2 P 0.015 0.251 0.986 1
P3 P 0.177 0.587 0.516 1
P4 P 0.177 0.913 0.016 1
P5 P 0.183 0.576 0.006 1
P6 P 0.183 0.924 0.506 1
P7 P 0.474 0.643 0.492 1
P8 P 0.474 0.857 0.992 1
P9 P 0.477 0.642 0.990 1
P10 P 0.477 0.858 0.490 1
P11 P 0.523 0.142 0.510 1
P12 P 0.523 0.358 0.010 1
P13 P 0.526 0.143 0.008 1
P14 P 0.526 0.357 0.508 1
P15 P 0.817 0.076 0.494 1
P16 P 0.817 0.424 0.994 1
P17 P 0.823 0.087 0.984 1
P18 P 0.823 0.413 0.484 1
P19 P 0.985 0.749 0.014 1
P20 P 0.985 0.751 0.514 1
O1 O 0.065 0.544 0.392 1
O2 O 0.065 0.956 0.892 1
O3 O 0.070 0.233 0.134 1
O4 O 0.070 0.267 0.634 1
O5 O 0.091 0.515 0.892 1
O6 O 0.091 0.985 0.392 1
O7 O 0.105 0.656 0.061 1
O8 O 0.105 0.844 0.561 1
O9 O 0.115 0.233 0.409 1
O10 O 0.115 0.267 0.909 1
O11 O 0.115 0.666 0.591 1
O12 O 0.115 0.834 0.091 1
O13 O 0.277 0.519 0.630 1
O14 O 0.277 0.981 0.130 1
O15 O 0.285 0.522 0.136 1
O16 O 0.285 0.978 0.636 1
O17 O 0.301 0.650 0.470 1
O18 O 0.301 0.850 0.970 1
O19 O 0.302 0.643 0.962 1
O20 O 0.302 0.857 0.462 1
O21 O 0.435 0.078 0.391 1
O22 O 0.435 0.422 0.891 1
O23 O 0.438 0.078 0.891 1
O24 O 0.438 0.422 0.391 1
O25 O 0.467 0.249 0.465 1
O26 O 0.467 0.251 0.965 1
O27 O 0.495 0.623 0.360 1
O28 O 0.495 0.877 0.860 1
O29 O 0.498 0.622 0.857 1
O30 O 0.498 0.878 0.357 1
O31 O 0.502 0.122 0.643 1
O32 O 0.502 0.378 0.143 1
O33 O 0.505 0.123 0.140 1
O34 O 0.505 0.377 0.640 1
O35 O 0.533 0.749 0.035 1
O36 O 0.533 0.751 0.535 1
O37 O 0.562 0.578 0.609 1
O38 O 0.562 0.922 0.109 1
O39 O 0.565 0.578 0.109 1
O40 O 0.565 0.922 0.609 1
O41 O 0.698 0.143 0.538 1
O42 O 0.698 0.357 0.038 1
O43 O 0.699 0.150 0.030 1
O44 O 0.699 0.350 0.530 1
O45 O 0.715 0.022 0.364 1
O46 O 0.715 0.478 0.864 1
O47 O 0.723 0.019 0.870 1
O48 O 0.723 0.481 0.370 1
O49 O 0.885 0.166 0.909 1
O50 O 0.885 0.334 0.409 1
O51 O 0.885 0.733 0.091 1
O52 O 0.885 0.767 0.591 1
O53 O 0.895 0.156 0.439 1
O54 O 0.895 0.344 0.939 1
O55 O 0.909 0.015 0.608 1
O56 O 0.909 0.485 0.108 1
O57 O 0.930 0.733 0.366 1
O58 O 0.930 0.767 0.866 1
O59 O 0.935 0.044 0.108 1
O60 O 0.935 0.456 0.608 1
```


First-principles (PBE+U) data for crystalline Fe5OF11 at its relaxed geometry, as listed in the Materials Project database.

Properties
For the energy relative to the lowest polymorph listed for this composition, the calculation gives 0 meV/atom. For the calculated volume, the calculation gives 225.05 Å³ per cell. The calculation puts the magnetization at 1.3529 μB per atom.

```
data_Fe5OF11
_chemical_formula_sum 'Fe5 O1 F11'
_symmetry_space_group_name_H-M 'P 1'
_symmetry_Int_Tables_number 1
_symmetry_space_group_name_Hall 'P 1'
_cell_length_a 5.217
_cell_length_b 5.547
_cell_length_c 9.185
_cell_angle_alpha 73.45
_cell_angle_beta 89.62
_cell_angle_gamma 63.18
loop_
_atom_site_label
_atom_site_type_symbol
_atom_site_fract_x
_atom_site_fract_y
_atom_site_fract_z
_atom_site_occupancy
Fe1 Fe 0.000 0.000 0.000 1
Fe2 Fe 0.028 0.921 0.361 1
Fe3 Fe 0.317 0.405 0.102 1
Fe4 Fe 0.533 0.896 0.837 1
Fe5 Fe 0.766 0.424 0.587 1
O1 O 0.417 0.722 0.008 1
F1 F 0.023 0.176 0.474 1
F2 F 0.030 0.706 0.222 1
F3 F 0.079 0.193 0.773 1
F4 F 0.091 0.173 0.165 1
F5 F 0.455 0.677 0.414 1
F6 F 0.535 0.667 0.707 1
F7 F 0.565 0.165 0.956 1
F8 F 0.596 0.170 0.658 1
F9 F 0.621 0.155 0.297 1
F10 F 0.950 0.682 0.906 1
F11 F 0.967 0.660 0.532 1
```


First-principles (PBE+U) data for crystalline Li2FeF4 at its relaxed geometry, as listed in the Materials Project database.

Properties
For the energy relative to the lowest polymorph listed for this composition, the calculation gives 36 meV/atom. For the calculated volume, the calculation gives 314.13 Å³ per cell. The calculation puts the magnetization at 0.5714 μB per atom.

```
data_Li2FeF4
_chemical_formula_sum 'Li8 Fe4 F16'
_symmetry_space_group_name_H-M 'P 1'
_symmetry_Int_Tables_number 1
_symmetry_space_group_name_Hall 'P 1'
_cell_length_a 5.999
_cell_length_b 9.645
_cell_length_c 5.429
_cell_angle_alpha 90.00
_cell_angle_beta 90.00
_cell_angle_gamma 90.00
loop_
_atom_site_label
_atom_site_type_symbol
_atom_site_fract_x
_atom_site_fract_y
_atom_site_fract_z
_atom_site_occupancy
Li1 Li 0.010 0.229 0.000 1
Li2 Li 0.166 0.024 0.583 1
Li3 Li 0.334 0.524 0.083 1
Li4 Li 0.490 0.729 0.500 1
Li5 Li 0.510 0.271 0.000 1
Li6 Li 0.666 0.476 0.583 1
Li7 Li 0.834 0.976 0.083 1
Li8 Li 0.990 0.771 0.500 1
Fe1 Fe 0.163 0.389 0.525 1
Fe2 Fe 0.337 0.889 0.025 1
Fe3 Fe 0.663 0.111 0.525 1
Fe4 Fe 0.837 0.611 0.025 1
F1 F 0.083 0.752 0.157 1
F2 F 0.098 0.039 0.929 1
F3 F 0.101 0.501 0.844 1
F4 F 0.245 0.308 0.184 1
F5 F 0.255 0.808 0.684 1
F6 F 0.399 0.001 0.344 1
F7 F 0.402 0.539 0.429 1
F8 F 0.417 0.252 0.657 1
F9 F 0.583 0.748 0.157 1
F10 F 0.598 0.461 0.929 1
F11 F 0.601 0.999 0.844 1
F12 F 0.745 0.192 0.184 1
F13 F 0.755 0.692 0.684 1
F14 F 0.899 0.499 0.344 1
F15 F 0.902 0.961 0.429 1
F16 F 0.917 0.248 0.657 1
```


First-principles (PBE+U) data for crystalline Mg14NiBiO16 at its relaxed geometry, as listed in the Materials Project database.

Properties
For the energy relative to the lowest polymorph listed for this composition, the calculation gives 3 meV/atom. For the calculated volume, the calculation gives 331.74 Å³ per cell. The calculation puts the magnetization at 0.0312 μB per atom.

```
data_Mg14NiBiO16
_chemical_formula_sum 'Mg14 Ni1 Bi1 O16'
_symmetry_space_group_name_H-M 'P 1'
_symmetry_Int_Tables_number 1
_symmetry_space_group_name_Hall 'P 1'
_cell_length_a 8.695
_cell_length_b 8.695
_cell_length_c 4.388
_cell_angle_alpha 90.00
_cell_angle_beta 90.00
_cell_angle_gamma 90.00
loop_
_atom_site_label
_atom_site_type_symbol
_atom_site_fract_x
_atom_site_fract_y
_atom_site_fract_z
_atom_site_occupancy
Mg1 Mg 0.000 0.242 0.000 1
Mg2 Mg 0.000 0.500 0.500 1
Mg3 Mg 0.000 0.758 0.000 1
Mg4 Mg 0.233 0.500 0.000 1
Mg5 Mg 0.237 0.237 0.500 1
Mg6 Mg 0.237 0.763 0.500 1
Mg7 Mg 0.242 0.000 0.000 1
Mg8 Mg 0.500 0.000 0.500 1
Mg9 Mg 0.500 0.233 0.000 1
Mg10 Mg 0.500 0.767 0.000 1
Mg11 Mg 0.758 0.000 0.000 1
Mg12 Mg 0.763 0.237 0.500 1
Mg13 Mg 0.763 0.763 0.500 1
Mg14 Mg 0.767 0.500 0.000 1
Ni1 Ni 0.000 0.000 0.500 1
Bi1 Bi 0.500 0.500 0.500 1
O1 O 0.000 0.000 0.000 1
O2 O 0.000 0.262 0.500 1
O3 O 0.000 0.500 0.000 1
O4 O 0.000 0.738 0.500 1
O5 O 0.234 0.500 0.500 1
O6 O 0.251 0.251 0.000 1
O7 O 0.251 0.749 0.000 1
O8 O 0.262 0.000 0.500 1
O9 O 0.500 0.000 0.000 1
O10 O 0.500 0.234 0.500 1
O11 O 0.500 0.500 0.000 1
O12 O 0.500 0.766 0.500 1
O13 O 0.738 0.000 0.500 1
O14 O 0.749 0.251 0.000 1
O15 O 0.749 0.749 0.000 1
O16 O 0.766 0.500 0.500 1
```


First-principles (PBE+U) data for crystalline Co2S3O12 at its relaxed geometry, as listed in the Materials Project database.

Properties
For the energy relative to the lowest polymorph listed for this composition, the calculation gives 0 meV/atom. For the calculated volume, the calculation gives 845.26 Å³ per cell. The calculation puts the magnetization at 0.1176 μB per atom.

```
data_Co2S3O12
_chemical_formula_sum 'Co8 S12 O48'
_symmetry_space_group_name_H-M 'P 1'
_symmetry_Int_Tables_number 1
_symmetry_space_group_name_Hall 'P 1'
_cell_length_a 8.334
_cell_length_b 8.552
_cell_length_c 14.399
_cell_angle_alpha 90.00
_cell_angle_beta 124.55
_cell_angle_gamma 90.00
loop_
_atom_site_label
_atom_site_type_symbol
_atom_site_fract_x
_atom_site_fract_y
_atom_site_fract_z
_atom_site_occupancy
Co1 Co 0.129 0.032 0.383 1
Co2 Co 0.129 0.468 0.883 1
Co3 Co 0.359 0.029 0.110 1
Co4 Co 0.359 0.471 0.610 1
Co5 Co 0.641 0.529 0.390 1
Co6 Co 0.641 0.971 0.890 1
Co7 Co 0.871 0.532 0.117 1
Co8 Co 0.871 0.968 0.617 1
S1 S 0.028 0.613 0.644 1
S2 S 0.028 0.887 0.144 1
S3 S 0.259 0.120 0.649 1
S4 S 0.259 0.380 0.149 1
S5 S 0.453 0.746 0.993 1
S6 S 0.453 0.754 0.493 1
S7 S 0.547 0.246 0.507 1
S8 S 0.547 0.254 0.007 1
S9 S 0.741 0.620 0.851 1
S10 S 0.741 0.880 0.351 1
S11 S 0.972 0.113 0.856 1
S12 S 0.972 0.387 0.356 1
O1 O 0.017 0.726 0.183 1
O2 O 0.017 0.774 0.683 1
O3 O 0.116 0.505 0.742 1
O4 O 0.116 0.995 0.242 1
O5 O 0.129 0.080 0.686 1
O6 O 0.129 0.420 0.186 1
O7 O 0.150 0.615 0.600 1
O8 O 0.150 0.885 0.100 1
O9 O 0.163 0.083 0.530 1
O10 O 0.163 0.417 0.030 1
O11 O 0.174 0.063 0.943 1
O12 O 0.174 0.437 0.443 1
O13 O 0.257 0.672 0.942 1
O14 O 0.257 0.828 0.442 1
O15 O 0.292 0.205 0.165 1
O16 O 0.292 0.295 0.665 1
O17 O 0.393 0.128 0.445 1
O18 O 0.393 0.372 0.945 1
O19 O 0.447 0.038 0.720 1
O20 O 0.447 0.462 0.220 1
O21 O 0.456 0.678 0.402 1
O22 O 0.456 0.822 0.902 1
O23 O 0.477 0.639 0.578 1
O24 O 0.477 0.861 0.078 1
O25 O 0.523 0.139 0.922 1
O26 O 0.523 0.361 0.422 1
O27 O 0.544 0.178 0.098 1
O28 O 0.544 0.322 0.598 1
O29 O 0.553 0.538 0.780 1
O30 O 0.553 0.962 0.280 1
O31 O 0.607 0.628 0.055 1
O32 O 0.607 0.872 0.555 1
O33 O 0.708 0.705 0.335 1
O34 O 0.708 0.795 0.835 1
O35 O 0.743 0.172 0.558 1
O36 O 0.743 0.328 0.058 1
O37 O 0.826 0.563 0.557 1
O38 O 0.826 0.937 0.057 1
O39 O 0.837 0.583 0.970 1
O40 O 0.837 0.917 0.470 1
O41 O 0.850 0.115 0.900 1
O42 O 0.850 0.385 0.400 1
O43 O 0.871 0.580 0.814 1
O44 O 0.871 0.920 0.314 1
O45 O 0.884 0.005 0.758 1
O46 O 0.884 0.495 0.258 1
O47 O 0.983 0.226 0.317 1
O48 O 0.983 0.274 0.817 1
```


First-principles (PBE+U) data for crystalline KSrCeMnO6 at its relaxed geometry, as listed in the Materials Project database.

Properties
For the calculated volume, the calculation gives 141.94 Å³ per cell. The calculation puts the magnetization at 0.2000 μB per atom.

```
data_KSrCeMnO6
_chemical_formula_sum 'K1 Sr1 Ce1 Mn1 O6'
_symmetry_space_group_name_H-M 'P 1'
_symmetry_Int_Tables_number 1
_symmetry_space_group_name_Hall 'P 1'
_cell_length_a 5.855
_cell_length_b 5.855
_cell_length_c 5.855
_cell_angle_alpha 60.00
_cell_angle_beta 60.00
_cell_angle_gamma 60.00
loop_
_atom_site_label
_atom_site_type_symbol
_atom_site_fract_x
_atom_site_fract_y
_atom_site_fract_z
_atom_site_occupancy
K1 K 0.000 0.000 0.000 1
Sr1 Sr 0.500 0.500 0.500 1
Ce1 Ce 0.750 0.750 0.750 1
Mn1 Mn 0.250 0.250 0.250 1
O1 O 0.017 0.017 0.483 1
O2 O 0.017 0.483 0.017 1
O3 O 0.017 0.483 0.483 1
O4 O 0.483 0.017 0.017 1
O5 O 0.483 0.017 0.483 1
O6 O 0.483 0.483 0.017 1
```


First-principles (PBE+U) data for crystalline RbFeO2 at its relaxed geometry, as listed in the Materials Project database.

Properties
For the calculated volume, the calculation gives 287.19 Å³ per cell.

```
data_RbFeO2
_chemical_formula_sum 'Rb4 Fe4 O8'
_symmetry_space_group_name_H-M 'P 1'
_symmetry_Int_Tables_number 1
_symmetry_space_group_name_Hall 'P 1'
_cell_length_a 5.962
_cell_length_b 8.120
_cell_length_c 5.932
_cell_angle_alpha 90.00
_cell_angle_beta 90.00
_cell_angle_gamma 90.00
loop_
_atom_site_label
_atom_site_type_symbol
_atom_site_fract_x
_atom_site_fract_y
_atom_site_fract_z
_atom_site_occupancy
Rb1 Rb 0.063 0.122 0.000 1
Rb2 Rb 0.437 0.622 0.500 1
Rb3 Rb 0.563 0.378 0.000 1
Rb4 Rb 0.937 0.878 0.500 1
Fe1 Fe 0.047 0.626 0.013 1
Fe2 Fe 0.453 0.126 0.513 1
Fe3 Fe 0.547 0.874 0.013 1
Fe4 Fe 0.953 0.374 0.513 1
O1 O 0.007 0.549 0.311 1
O2 O 0.152 0.194 0.472 1
O3 O 0.348 0.694 0.972 1
O4 O 0.493 0.049 0.811 1
O5 O 0.507 0.951 0.311 1
O6 O 0.652 0.306 0.472 1
O7 O 0.848 0.806 0.972 1
O8 O 0.993 0.451 0.811 1
```


| no. | energy of formation (eV/f.u.) | density (g cm⁻³) |
| --- | --- | --- |
| 1 | -61.7 | 4.31 |
| 2 | -55.2 | 2.56 |
| 3 | -41.5 | 3.72 |
| 4 | -20.0 | 3.08 |
| 5 | -85.9 | 4.32 |
| 6 | -26.6 | 3.19 |
| 7 | -26.1 | 4.89 |
| 8 | -7.1 | 4.01 |